Computed, not measured: a relaxed structure of TiFeSi2 at the GGA-PBE level of DFT.

Total energy = -359.27 eV for the cell shown
Crystal system = orthorhombic
ΔH_f (0 K) = -0.645 eV per atom

Lattice parameters (Å, degrees): 8.5755 9.5304 7.5792 90.00 90.00 90.00
Closest atoms and distances in Å follow each position.
Space group Pbam (No. 55)
Unique sites:
1 Ti 0.1675 0.1797 0.0000  7 Si 2.58-2.73, 2 Fe 2.87
2 Ti 0.1739 0.4515 0.2384  8 Si 2.55-2.81, 2 Fe 2.83-2.84
3 Fe 0.0000 0.0000 0.2441  6 Si 2.34-2.39, 2 Fe 2.57
4 Fe 0.0898 0.7427 0.2487  6 Si 2.26-2.45
5 Si 0.0386 0.6198 0.0000  2 Fe 2.26, 1 Si 2.38
6 Si 0.0395 0.6220 0.5000  2 Fe 2.27, 1 Si 2.42
7 Si 0.1219 0.9016 0.5000  4 Fe 2.39-2.45
8 Si 0.1258 0.8959 0.0000  4 Fe 2.36-2.40, 3 Ti 2.55-2.62
9 Si 0.1615 0.1813 0.3446  3 Fe 2.33-2.39, 1 Si 2.36

Computed, not measured: a relaxed structure of Cs4Ge5Pb4S16 at the GGA-PBE level of DFT.

Total energy = -1022.08 eV for the cell shown
Crystal system = orthorhombic
ΔH_f (0 K) = -0.968 eV per atom

Lattice parameters (Å, degrees): 38.9102 9.4324 19.9774 90.00 90.00 90.00
Closest atoms and distances in Å follow each position.
Space group Cmce (No. 64)
Unique sites:
1 Cs 0.1012 0.2183 0.2072  6 S 3.51-3.77
2 Cs 0.1928 0.2131 0.5562  8 S 3.54-3.93
3 Ge 0.0000 0.1432 0.6318  4 S 2.21-2.28
4 Ge 0.1160 0.1989 0.9134  4 S 2.19-2.28
5 Ge 0.1864 0.2190 0.3468  4 S 2.18-2.31
6 Pb 0.0000 0.2288 0.3277  3 S 2.81-2.83
7 Pb 0.0541 0.0000 0.0000  4 S 2.81-3.02
8 Pb 0.0560 0.0000 0.5000  6 S 2.92-3.24
9 Pb 0.2500 0.0533 0.2500  4 S 2.83-3.02
10 S 0.0000 0.1587 0.1907  1 Ge 2.21
11 S 0.0000 0.2007 0.5209  1 Ge 2.28
12 S 0.0452 0.9999 0.3519  1 Ge 2.24
13 S 0.0723 0.1028 0.8614  1 Ge 2.19
14 S 0.1021 0.2177 0.0206  1 Ge 2.22
15 S 0.1365 0.0945 0.3691  2 Ge 2.28-2.31
16 S 0.1667 0.0808 0.8988  2 Ge 2.28-2.29
17 S 0.1961 0.2467 0.7397  1 Ge 2.20
18 S 0.2305 0.1165 0.3933  1 Ge 2.18

Computed, not measured: a relaxed structure of Na11U5O16 at the GGA-PBE level of DFT.

Total energy = -450.16 eV for the cell shown
Crystal system = cubic
ΔH_f (0 K) = -2.684 eV per atom

Lattice parameters (Å, degrees): 9.6845 9.6845 9.6845 90.00 90.00 90.00
Closest atoms and distances in Å follow each position.
Space group P4_232 (No. 208)
Unique sites:
1 Na 0.0000 0.0000 0.2343  3 O 2.27-2.45
2 Na 0.0000 0.2500 0.5000  6 O 2.42-2.45
3 Na 0.2500 0.2500 0.2500  6 O 2.60
4 U 0.0000 0.5000 0.2500  6 O 2.20-2.42
5 U 0.2500 0.2500 0.7500  6 O 2.27
6 O 0.0000 0.0000 0.0000  6 Na 2.27
7 O 0.0000 0.0000 0.5000  4 Na 2.42-2.57, 2 U 2.42
8 O 0.0172 0.2738 0.7510  2 U 2.20-2.27, 2 Na 2.45

Computed, not measured: a relaxed structure of Ba4GaSn3 at the GGA-PBE level of DFT.

Total energy = -27.70 eV for the cell shown
Crystal system = orthorhombic
ΔH_f (0 K) = -0.621 eV per atom

Lattice parameters (Å, degrees): 4.7232 5.2909 12.7388 90.00 90.00 90.00
Closest atoms and distances in Å follow each position.
Space group Pmm2 (No. 25)
Unique sites:
1 Ba 0.0000 0.0000 0.0000  5 Sn 3.66-3.71, 2 Ga 3.73
2 Ba 0.0000 0.5000 0.4991  6 Sn 3.64-3.76, 1 Ga 3.73
3 Ba 0.5000 0.0000 0.2728  4 Ga 3.65, 3 Sn 3.70-3.72
4 Ba 0.5000 0.5000 0.7740  7 Sn 3.64-3.76
5 Ga 0.0000 0.5000 0.2060  2 Sn 2.93
6 Sn 0.0000 0.0000 0.7087  2 Sn 2.99
7 Sn 0.5000 0.0000 0.5646  2 Sn 2.99
8 Sn 0.5000 0.5000 0.0695  2 Ga 2.93

Computed, not measured: a relaxed structure of B3Pb10Br3O13 at the GGA-PBE level of DFT.

Total energy = -679.69 eV for the cell shown
Crystal system = monoclinic
ΔH_f (0 K) = -1.809 eV per atom

Lattice parameters (Å, degrees): 16.9781 9.1114 17.1577 90.00 114.64 90.00
Closest atoms and distances in Å follow each position.
Space group Cc (No. 9)
Unique sites:
1 B 0.0000 0.0761 0.0000  3 O 1.38-1.40
2 B 0.3939 0.0790 0.8810  3 O 1.38-1.41
3 B 0.4450 0.2481 0.1817  3 O 1.37-1.40
4 Pb 0.0334 0.3073 0.8865  3 O 2.28-2.35
5 Pb 0.0908 0.0378 0.1848  3 O 2.32-2.38
6 Pb 0.1055 0.2546 0.5230  2 O 2.28-2.37
7 Pb 0.1703 0.3546 0.7450  4 O 2.34-2.55
8 Pb 0.2191 0.3437 0.1214  3 O 2.35-2.45
9 Pb 0.2872 0.2547 0.3505  2 O 2.28-2.39
10 Pb 0.3050 0.0426 0.6924  3 O 2.31-2.35
11 Pb 0.3516 0.3261 0.9782  3 O 2.26-2.37
12 Pb 0.4165 0.4546 0.7898  3 O 2.25-2.44
13 Pb 0.4794 0.0422 0.5873  3 O 2.28-2.42
14 Br 0.0843 0.3494 0.2975  4 Pb 3.29-3.46, 1 O 3.42
15 Br 0.1945 0.0490 0.9341  4 Pb 3.44-3.77, 1 O 3.82
16 Br 0.3125 0.3550 0.5802  5 Pb 3.36-3.59, 4 O 3.50-3.73
17 O 0.0079 0.3408 0.6764  1 B 1.37
18 O 0.0519 0.1764 0.0596  1 B 1.38
19 O 0.1141 0.4634 0.6088  4 Pb 2.28-2.45
20 O 0.1714 0.1518 0.6558  4 Pb 2.28-2.41
21 O 0.2247 0.1460 0.2192  4 Pb 2.28-2.44
22 O 0.2838 0.4527 0.2580  3 Pb 2.25-2.39
23 O 0.3448 0.1775 0.8184  1 B 1.38
24 O 0.3671 0.2725 0.1123  1 B 1.38
25 O 0.4040 0.0649 0.3587  1 B 1.40
26 O 0.4325 0.1250 0.9670  1 B 1.41
27 O 0.4574 0.3833 0.4139  1 B 1.40
28 O 0.4597 0.3130 0.2603  1 B 1.40
29 O 0.4910 0.4337 0.0257  1 B 1.40

Computed, not measured: a relaxed structure of NaCdN at the GGA-PBE level of DFT.

Total energy = -38.34 eV for the cell shown
Crystal system = orthorhombic
ΔH_f (0 K) = 0.212 eV per atom

Lattice parameters (Å, degrees): 7.9550 4.0097 6.1698 90.00 90.00 90.00
Closest atoms and distances in Å follow each position.
Space group Pnma (No. 62)
Unique sites:
1 Na 0.1070 0.2500 0.1405  3 N 2.46-2.51
2 Cd 0.1334 0.2500 0.6068  4 N 2.33-2.47
3 N 0.1613 0.7500 0.3761  4 Cd 2.33-2.47, 3 Na 2.46-2.51